# BaMg14Co PBE optimized geometry
# VASP energy (eV per atom): -1.84
# Energy relative to the elements (eV/atom): 0.1288
# Energy above the lowest structure with this stoichiometry (meV per atom): 0
data_BaMg14Co
_chemical_formula_sum 'Ba2 Mg28 Co2'
_space_group_name_H-M_alt 'A m m 2'
_space_group_IT_number 38
_cell_length_a 10.532
_cell_length_b 6.195
_cell_length_c 11.662
_cell_angle_alpha 90.00
_cell_angle_beta 90.00
_cell_angle_gamma 90.00
loop_
_space_group_symop_operation_xyz
'x,y,z'
'-x,-y,z'
'-x,y,z'
'x,-y,z'
'x,y+1/2,z+1/2'
'-x,-y+1/2,z+1/2'
'-x,y+1/2,z+1/2'
'x,-y+1/2,z+1/2'
loop_
_atom_site_label
_atom_site_fract_x
_atom_site_fract_y
_atom_site_fract_z
_atom_site_occupancy
Ba1 0.000 0.000 0.000 1
Mg1 0.000 0.239 0.254 1
Mg2 0.208 0.000 0.619 1
Mg3 0.256 0.243 0.383 1
Mg4 0.275 0.000 0.142 1
Mg5 0.500 0.000 0.482 1
Mg6 0.500 0.000 0.972 1
Mg7 0.500 0.245 0.728 1
Co1 0.000 0.000 0.452 1